{"formula": "TaNO", "functional": "PBE-GGA", "state": "relaxed", "delta_e_f_ev_per_atom": -2.1361, "energy_mp2020_ev_per_cell": -126.20, "e_tot_ev_per_atom": -10.29, "rho_g_cm3": 8.48, "lattice": [[1.946, 6.590, 0.000], [-1.946, 6.590, 0.000], [0.000, 2.052, 6.447]], "species": ["Ta", "O", "Ta", "O", "N", "N", "Ta", "Ta", "O", "N", "N", "O"], "fractional_positions": [[0.602, 0.602, 0.792], [0.360, 0.360, 0.507], [0.688, 0.688, 0.194], [0.866, 0.866, 0.211], [0.554, 0.554, 0.137], [0.759, 0.759, 0.852], [0.312, 0.312, 0.806], [0.398, 0.398, 0.208], [0.134, 0.134, 0.789], [0.241, 0.241, 0.148], [0.446, 0.446, 0.863], [0.640, 0.640, 0.493]]}